No. 1
Entry from the Materials Project: a relaxed structure of Li2MnVP2H2O10 (PBE with a Hubbard U).

## Properties
- excess energy over the best structure of this formula in the dataset (meV/atom) = 17.5
- electronic total energy (eV/atom) = -6.79
- energy of formation (eV/atom) = -2.40

Cell and atoms, written as CIF:
```
data_Li2MnVP2H2O10
_cell_length_a 6.956
_cell_length_b 7.496
_cell_length_c 7.863
_cell_angle_alpha 116.84
_cell_angle_beta 91.58
_cell_angle_gamma 90.78
_space_group_name_H-M_alt 'P 1'
_space_group_IT_number 1
_space_group_name_Hall 'P 1'
loop_
_atom_site_label
_atom_site_fract_x
_atom_site_fract_y
_atom_site_fract_z
_atom_site_occupancy
Li1 0.000 0.000 0.000 1
Li2 0.179 0.324 0.974 1
Li3 0.503 0.496 0.501 1
Li4 0.682 0.825 0.479 1
Mn1 0.592 0.661 0.988 1
Mn2 0.843 0.411 0.240 1
V1 0.090 0.162 0.489 1
V2 0.340 0.911 0.740 1
P1 0.248 0.687 0.279 1
P2 0.439 0.139 0.198 1
P3 0.746 0.183 0.779 1
P4 0.932 0.638 0.700 1
H1 0.297 0.590 0.756 1
H2 0.384 0.232 0.720 1
H3 0.797 0.096 0.256 1
H4 0.887 0.724 0.222 1
O1 0.059 0.818 0.720 1
O2 0.062 0.461 0.670 1
O3 0.117 0.862 0.307 1
O4 0.124 0.504 0.258 1
O5 0.263 0.154 0.707 1
O6 0.289 0.075 0.026 1
O7 0.334 0.220 0.390 1
O8 0.354 0.604 0.086 1
O9 0.396 0.749 0.451 1
O10 0.417 0.667 0.765 1
O11 0.562 0.320 0.216 1
O12 0.569 0.964 0.173 1
O13 0.617 0.359 0.806 1
O14 0.620 0.003 0.761 1
O15 0.766 0.648 0.214 1
O16 0.781 0.581 0.535 1
O17 0.832 0.721 0.897 1
O18 0.845 0.099 0.582 1
O19 0.899 0.240 0.943 1
O20 0.919 0.173 0.267 1
```

---

No. 2
Entry from the Materials Project: a relaxed structure of Li2MnH8S2O12 (PBE with a Hubbard U).

## Properties
- electronic total energy (eV/atom) = -5.61
- energy of formation (eV/atom) = -1.70

Cell and atoms, written as CIF:
```
data_Li2MnH8S2O12
_cell_length_a 9.283
_cell_length_b 11.847
_cell_length_c 12.527
_cell_angle_alpha 61.93
_cell_angle_beta 89.98
_cell_angle_gamma 67.00
_space_group_name_H-M_alt 'P 1'
_space_group_IT_number 1
_space_group_name_Hall 'P 1'
loop_
_atom_site_label
_atom_site_fract_x
_atom_site_fract_y
_atom_site_fract_z
_atom_site_occupancy
Li1 0.000 0.000 0.000 1
Li2 0.005 0.993 0.507 1
Li3 0.128 0.515 0.147 1
Li4 0.356 0.520 0.647 1
Li5 0.375 0.019 0.030 1
Li6 0.604 0.016 0.534 1
Li7 0.725 0.540 0.172 1
Li8 0.730 0.537 0.674 1
Mn1 0.115 0.266 0.589 1
Mn2 0.367 0.767 0.339 1
Mn3 0.619 0.266 0.091 1
Mn4 0.867 0.766 0.841 1
H1 0.004 0.547 0.382 1
H2 0.053 0.882 0.345 1
H3 0.064 0.882 0.849 1
H4 0.094 0.010 0.288 1
H5 0.130 0.519 0.878 1
H6 0.177 0.639 0.334 1
H7 0.182 0.640 0.833 1
H8 0.253 0.975 0.675 1
H9 0.289 0.983 0.797 1
H10 0.310 0.301 0.015 1
H11 0.340 0.238 0.164 1
H12 0.352 0.519 0.380 1
H13 0.383 0.016 0.295 1
H14 0.391 0.300 0.515 1
H15 0.425 0.233 0.664 1
H16 0.445 0.547 0.884 1
H17 0.478 0.557 0.005 1
H18 0.553 0.894 0.844 1
H19 0.555 0.892 0.350 1
H20 0.607 0.015 0.797 1
H21 0.639 0.521 0.395 1
H22 0.667 0.651 0.830 1
H23 0.678 0.650 0.331 1
H24 0.729 0.983 0.298 1
H25 0.772 0.974 0.176 1
H26 0.808 0.301 0.513 1
H27 0.837 0.525 0.893 1
H28 0.842 0.235 0.664 1
H29 0.891 0.299 0.012 1
H30 0.896 0.011 0.786 1
H31 0.924 0.235 0.162 1
H32 0.964 0.558 0.504 1
S1 0.086 0.303 0.858 1
S2 0.125 0.229 0.319 1
S3 0.359 0.799 0.043 1
S4 0.376 0.737 0.635 1
S5 0.608 0.302 0.360 1
S6 0.644 0.232 0.820 1
S7 0.843 0.797 0.546 1
S8 0.891 0.733 0.135 1
O1 0.036 0.379 0.212 1
O2 0.037 0.145 0.321 1
O3 0.042 0.632 0.237 1
O4 0.091 0.306 0.740 1
O5 0.113 0.603 0.885 1
O6 0.116 0.921 0.288 1
O7 0.135 0.226 0.438 1
O8 0.148 0.154 0.965 1
O9 0.187 0.369 0.874 1
O10 0.191 0.831 0.999 1
O11 0.220 0.035 0.713 1
O12 0.261 0.887 0.589 1
O13 0.282 0.604 0.387 1
O14 0.291 0.165 0.302 1
O15 0.324 0.637 0.736 1
O16 0.349 0.263 0.590 1
O17 0.361 0.836 0.143 1
O18 0.376 0.701 0.535 1
O19 0.385 0.270 0.089 1
O20 0.409 0.899 0.941 1
O21 0.442 0.370 0.375 1
O22 0.454 0.928 0.293 1
O23 0.473 0.649 0.089 1
O24 0.512 0.496 0.968 1
O25 0.543 0.705 0.681 1
O26 0.546 0.164 0.805 1
O27 0.583 0.381 0.712 1
O28 0.600 0.304 0.242 1
O29 0.617 0.612 0.391 1
O30 0.622 0.930 0.790 1
O31 0.637 0.232 0.938 1
O32 0.692 0.898 0.444 1
O33 0.695 0.153 0.468 1
O34 0.697 0.386 0.357 1
O35 0.745 0.035 0.213 1
O36 0.756 0.700 0.180 1
O37 0.766 0.614 0.891 1
O38 0.805 0.833 0.646 1
O39 0.817 0.149 0.823 1
O40 0.849 0.266 0.088 1
O41 0.854 0.883 0.091 1
O42 0.879 0.647 0.590 1
O43 0.883 0.269 0.588 1
O44 0.914 0.387 0.856 1
O45 0.928 0.698 0.034 1
O46 0.965 0.921 0.789 1
O47 0.978 0.829 0.501 1
O48 0.991 0.496 0.468 1
```

---

No. 3
Entry from the Materials Project: a relaxed structure of LiMnH4S2O10 (PBE with a Hubbard U).

## Properties
- excess energy over the best structure of this formula in the dataset (meV/atom) = 2.8
- electronic total energy (eV/atom) = -5.85
- energy of formation (eV/atom) = -1.74

Cell and atoms, written as CIF:
```
data_LiMnH4S2O10
_cell_length_a 5.334
_cell_length_b 12.845
_cell_length_c 5.543
_cell_angle_alpha 90.00
_cell_angle_beta 100.46
_cell_angle_gamma 90.00
_space_group_name_H-M_alt 'P 1 21 1'
_space_group_IT_number 4
_space_group_name_Hall 'P 2yb'
loop_
_atom_site_label
_atom_site_fract_x
_atom_site_fract_y
_atom_site_fract_z
_atom_site_occupancy
Li1 0.010 0.000 0.083 1
Mn1 0.255 0.381 0.505 1
H1 0.073 0.237 0.187 1
H2 0.240 0.587 0.597 1
H3 0.258 0.182 0.412 1
H4 0.430 0.534 0.818 1
S1 0.181 0.765 0.272 1
S2 0.317 0.000 0.726 1
O1 0.064 0.332 0.748 1
O2 0.106 0.924 0.739 1
O3 0.138 0.698 0.054 1
O4 0.226 0.706 0.501 1
O5 0.228 0.249 0.319 1
O6 0.265 0.057 0.493 1
O7 0.266 0.521 0.698 1
O8 0.340 0.066 0.947 1
O9 0.388 0.842 0.265 1
O10 0.428 0.443 0.253 1
```

---

No. 4
Entry from the Materials Project: a relaxed structure of LiMnH8S2O12 (PBE with a Hubbard U).

## Properties
- excess energy over the best structure of this formula in the dataset (meV/atom) = 0.0
- electronic total energy (eV/atom) = -5.61
- energy of formation (eV/atom) = -1.62

Cell and atoms, written as CIF:
```
data_LiMnH8S2O12
_cell_length_a 9.319
_cell_length_b 11.606
_cell_length_c 11.738
_cell_angle_alpha 65.22
_cell_angle_beta 66.73
_cell_angle_gamma 89.88
_space_group_name_H-M_alt 'P 1'
_space_group_IT_number 1
_space_group_name_Hall 'P 1'
loop_
_atom_site_label
_atom_site_fract_x
_atom_site_fract_y
_atom_site_fract_z
_atom_site_occupancy
Li1 0.000 0.000 0.000 1
Li2 0.184 0.578 0.546 1
Li3 0.457 0.504 0.995 1
Li4 0.736 0.091 0.534 1
Mn1 0.181 0.041 0.270 1
Mn2 0.427 0.792 0.769 1
Mn3 0.683 0.542 0.271 1
Mn4 0.927 0.289 0.772 1
H1 0.043 0.964 0.545 1
H2 0.067 0.829 0.540 1
H3 0.119 0.318 0.878 1
H4 0.141 0.831 0.876 1
H5 0.171 0.747 0.008 1
H6 0.190 0.320 0.535 1
H7 0.238 0.265 0.659 1
H8 0.238 0.751 0.658 1
H9 0.319 0.116 0.996 1
H10 0.338 0.252 0.000 1
H11 0.394 0.460 0.309 1
H12 0.409 0.822 0.528 1
H13 0.432 0.623 0.233 1
H14 0.440 0.963 0.293 1
H15 0.453 0.762 0.008 1
H16 0.462 0.120 0.247 1
H17 0.517 0.331 0.541 1
H18 0.565 0.464 0.544 1
H19 0.624 0.816 0.883 1
H20 0.627 0.332 0.881 1
H21 0.668 0.262 0.012 1
H22 0.687 0.827 0.535 1
H23 0.723 0.758 0.665 1
H24 0.746 0.251 0.664 1
H25 0.788 0.751 0.001 1
H26 0.838 0.618 0.998 1
H27 0.889 0.960 0.313 1
H28 0.908 0.336 0.532 1
H29 0.931 0.124 0.228 1
H30 0.937 0.462 0.298 1
H31 0.952 0.252 0.007 1
H32 0.965 0.622 0.243 1
S1 0.174 0.323 0.303 1
S2 0.206 0.759 0.239 1
S3 0.412 0.502 0.785 1
S4 0.447 0.080 0.747 1
S5 0.680 0.826 0.297 1
S6 0.708 0.259 0.242 1
S7 0.923 0.001 0.794 1
S8 0.928 0.579 0.756 1
O1 0.007 0.343 0.366 1
O2 0.025 0.248 0.917 1
O3 0.054 0.962 0.837 1
O4 0.058 0.919 0.487 1
O5 0.077 0.683 0.656 1
O6 0.105 0.738 0.175 1
O7 0.146 0.666 0.386 1
O8 0.160 0.187 0.322 1
O9 0.169 0.322 0.625 1
O10 0.194 0.759 0.913 1
O11 0.209 0.894 0.220 1
O12 0.250 0.459 0.811 1
O13 0.260 0.416 0.155 1
O14 0.262 0.335 0.381 1
O15 0.275 0.162 0.053 1
O16 0.340 0.808 0.624 1
O17 0.348 0.029 0.897 1
O18 0.373 0.747 0.162 1
O19 0.388 0.042 0.269 1
O20 0.392 0.189 0.663 1
O21 0.411 0.607 0.835 1
O22 0.441 0.975 0.700 1
O23 0.462 0.399 0.886 1
O24 0.475 0.541 0.269 1
O25 0.515 0.850 0.353 1
O26 0.521 0.758 0.918 1
O27 0.527 0.550 0.641 1
O28 0.585 0.420 0.484 1
O29 0.598 0.236 0.186 1
O30 0.620 0.119 0.704 1
O31 0.657 0.169 0.389 1
O32 0.661 0.689 0.320 1
O33 0.668 0.828 0.626 1
O34 0.695 0.275 0.916 1
O35 0.714 0.396 0.218 1
O36 0.759 0.836 0.383 1
O37 0.778 0.916 0.150 1
O38 0.784 0.893 0.878 1
O39 0.791 0.621 0.729 1
O40 0.800 0.663 0.058 1
O41 0.837 0.322 0.628 1
O42 0.871 0.106 0.841 1
O43 0.871 0.246 0.157 1
O44 0.889 0.542 0.273 1
O45 0.899 0.532 0.901 1
O46 0.970 0.042 0.273 1
O47 0.973 0.052 0.644 1
O48 0.978 0.473 0.708 1
```

---

Per-record spin magnetization, μB per cell: 12.00 20.00 8.00 16.00